A relaxed structure of MgRe3. Source: Materials Project, functional GGA-PBE.

POSCAR file:
```
MgRe3
1.0
0.0000 3.1145 3.1145
3.1145 0.0000 3.1145
3.1145 3.1145 0.0000
Mg Re
1 3
direct
0.0000 0.0000 0.0000
0.2500 0.2500 0.2500
0.5000 0.5000 0.5000
0.7500 0.7500 0.7500
```

Results
* ΔH_f (0 K): 265 meV per atom
* symmetry: No. 225